First-principles (r2SCAN) data for a geometry-optimized CdBiSe2Br structure, as listed in the Materials Project.

Unit cell a=4.1462 b=10.0894 c=13.2733 alpha=90.00 beta=90.00 gamma=90.00
Positions (direct):
Se: 0.2500 0.4451 0.8863
Se: 0.7500 0.5549 0.1137
Se: 0.2500 0.9451 0.6137
Se: 0.2500 0.7515 0.3316
Se: 0.2500 0.2515 0.1684
Se: 0.7500 0.2485 0.6684
Se: 0.7500 0.0549 0.3863
Se: 0.7500 0.7485 0.8316
Bi: 0.7500 0.8094 0.4716
Bi: 0.7500 0.3094 0.0284
Bi: 0.2500 0.6906 0.9716
Bi: 0.2500 0.1906 0.5284
Br: 0.7500 0.9254 0.1058
Br: 0.2500 0.5746 0.6058
Br: 0.7500 0.4254 0.3942
Br: 0.2500 0.0746 0.8942
Cd: 0.2500 0.4946 0.2632
Cd: 0.7500 0.0054 0.7632
Cd: 0.7500 0.5054 0.7368
Cd: 0.2500 0.9946 0.2368

SG: Pnma (62)

First-principles (r2SCAN) data for a geometry-optimized CsBi2Br7 structure, as listed in the Materials Project.

Unit cell a=7.6732 b=9.7598 c=10.6923 alpha=76.01 beta=83.64 gamma=76.33
Positions (direct):
Br: 0.7288 0.0206 0.0517
Br: 0.4993 0.2379 0.3238
Br: 0.5007 0.7621 0.6762
Br: 0.1355 0.1268 0.5683
Br: 0.0320 0.2124 0.2044
Br: 0.2712 0.9794 0.9483
Br: 0.8951 0.3470 0.8284
Br: 0.9680 0.7876 0.7956
Br: 0.3766 0.3762 0.9315
Br: 0.2404 0.5151 0.5471
Br: 0.1049 0.6530 0.1716
Br: 0.8645 0.8732 0.4317
Br: 0.6234 0.6238 0.0685
Br: 0.7596 0.4849 0.4529
Bi: 0.3070 0.7025 0.9393
Bi: 0.8722 0.6394 0.6264
Bi: 0.1278 0.3606 0.3736
Bi: 0.6930 0.2975 0.0607
Cs: 0.6145 0.1355 0.6882
Cs: 0.3855 0.8645 0.3118

SG: P-1 (2)

First-principles (r2SCAN) data for a geometry-optimized Hg6BiSb4Br7 structure, as listed in the Materials Project.

Unit cell a=13.1963 b=13.1963 c=13.1963 alpha=90.00 beta=90.00 gamma=90.00
Positions (direct):
Hg: 0.1981 0.9482 0.1848
Hg: 0.6848 0.3019 0.0518
Hg: 0.1848 0.1981 0.9482
Hg: 0.5518 0.6848 0.1981
Hg: 0.0518 0.6848 0.3019
Hg: 0.1848 0.3019 0.4482
Hg: 0.5518 0.8152 0.6981
Hg: 0.0518 0.8152 0.8019
Hg: 0.3019 0.4482 0.1848
Hg: 0.8152 0.6981 0.5518
Hg: 0.8019 0.4482 0.3152
Hg: 0.9482 0.3152 0.6981
Hg: 0.6981 0.9482 0.3152
Hg: 0.3152 0.8019 0.4482
Hg: 0.4482 0.3152 0.8019
Hg: 0.4482 0.1848 0.3019
Hg: 0.1981 0.5518 0.6848
Hg: 0.3019 0.0518 0.6848
Hg: 0.8152 0.8019 0.0518
Hg: 0.3152 0.6981 0.9482
Hg: 0.8019 0.0518 0.8152
Hg: 0.6848 0.1981 0.5518
Hg: 0.9482 0.1848 0.1981
Hg: 0.6981 0.5518 0.8152
Br: 0.0443 0.4471 0.2073
Br: 0.0000 0.5000 0.5000
Br: 0.5000 0.0000 0.5000
Br: 0.9557 0.5529 0.7927
Br: 0.0529 0.7073 0.0443
Br: 0.5529 0.7927 0.9557
Br: 0.0529 0.7927 0.5443
Br: 0.4471 0.2073 0.0443
Br: 0.9557 0.9471 0.2927
Br: 0.4557 0.9471 0.2073
Br: 0.0443 0.0529 0.7073
Br: 0.2073 0.4557 0.9471
Br: 0.7927 0.9557 0.5529
Br: 0.4471 0.2927 0.5443
Br: 0.7073 0.4557 0.5529
Br: 0.5443 0.0529 0.7927
Br: 0.4557 0.5529 0.7073
Br: 0.7073 0.0443 0.0529
Br: 0.7927 0.5443 0.0529
Br: 0.2927 0.5443 0.4471
Br: 0.0000 0.0000 0.0000
Br: 0.2927 0.9557 0.9471
Br: 0.5443 0.4471 0.2927
Br: 0.2073 0.0443 0.4471
Br: 0.9471 0.2927 0.9557
Br: 0.5000 0.5000 0.0000
Br: 0.5529 0.7073 0.4557
Br: 0.9471 0.2073 0.4557
Sb: 0.8616 0.6384 0.3616
Sb: 0.7637 0.2363 0.7363
Sb: 0.7363 0.7637 0.2363
Sb: 0.6384 0.3616 0.8616
Sb: 0.7637 0.2637 0.2363
Sb: 0.1384 0.3616 0.6384
Sb: 0.2637 0.2363 0.7637
Sb: 0.2637 0.2637 0.2637
Sb: 0.3616 0.6384 0.1384
Sb: 0.2363 0.7637 0.2637
Sb: 0.7363 0.7363 0.7363
Sb: 0.8616 0.8616 0.8616
Sb: 0.6384 0.1384 0.3616
Sb: 0.2363 0.7363 0.7637
Sb: 0.1384 0.1384 0.1384
Sb: 0.3616 0.8616 0.6384
Bi: 0.0000 0.0000 0.5000
Bi: 0.0000 0.5000 0.0000
Bi: 0.5000 0.5000 0.5000
Bi: 0.5000 0.0000 0.0000

SG: Pa-3 (205)

First-principles (r2SCAN) data for a geometry-optimized BiBrO structure, as listed in the Materials Project.

Unit cell a=3.9278 b=3.9278 c=8.3943 alpha=90.00 beta=90.00 gamma=90.00
Positions (direct):
Br: 0.2500 0.2500 0.6653
Br: 0.7500 0.7500 0.3347
O: 0.2500 0.7500 0.0000
O: 0.7500 0.2500 0.0000
Bi: 0.2500 0.2500 0.1486
Bi: 0.7500 0.7500 0.8514

SG: P4/nmm (129)

First-principles (r2SCAN) data for a geometry-optimized Bi4Br2O5 structure, as listed in the Materials Project.

Unit cell a=5.6503 b=10.9391 c=14.6002 alpha=81.98 beta=90.00 gamma=90.00
Positions (direct):
O: 0.5027 0.0776 0.4207
O: 0.5155 0.3466 0.8062
O: 0.4759 0.4231 0.0901
O: 0.8071 0.3028 0.9658
O: 0.5172 0.6504 0.1961
O: 0.5073 0.7510 0.7407
O: 0.3189 0.5408 0.7070
O: 0.0155 0.6534 0.1938
O: 0.9759 0.5769 0.9099
O: 0.0073 0.2490 0.2593
O: 0.4785 0.5771 0.9044
O: 0.8189 0.4592 0.2930
O: 0.4957 0.2542 0.2639
O: 0.0188 0.0799 0.4200
O: 0.5188 0.9201 0.5800
O: 0.9785 0.4229 0.0956
O: 0.0027 0.9224 0.5793
O: 0.9957 0.7458 0.7361
O: 0.3071 0.6972 0.0342
O: 0.0172 0.3496 0.8039
Br: 0.7636 0.9486 0.2247
Br: 0.2849 0.3835 0.4475
Br: 0.2647 0.7834 0.3804
Br: 0.2636 0.0514 0.7753
Br: 0.2800 0.1257 0.0574
Br: 0.7647 0.2166 0.6196
Br: 0.7849 0.6165 0.5525
Br: 0.7800 0.8743 0.9426
Bi: 0.1639 0.4037 0.9561
Bi: 0.7578 0.9063 0.7069
Bi: 0.2664 0.7906 0.1500
Bi: 0.1893 0.4379 0.2185
Bi: 0.7664 0.2094 0.8500
Bi: 0.2609 0.0782 0.5433
Bi: 0.6639 0.5963 0.0439
Bi: 0.2578 0.0937 0.2931
Bi: 0.7192 0.2658 0.1180
Bi: 0.7685 0.6472 0.3040
Bi: 0.7510 0.2759 0.3727
Bi: 0.2192 0.7342 0.8820
Bi: 0.6893 0.5621 0.7815
Bi: 0.2685 0.3528 0.6960
Bi: 0.2510 0.7241 0.6273
Bi: 0.7609 0.9218 0.4567

SG: P2_1 (4)

First-principles (r2SCAN) data for a geometry-optimized TaBi4BrO8 structure, as listed in the Materials Project.

Unit cell a=5.4952 b=5.5422 c=29.4514 alpha=90.00 beta=90.00 gamma=90.00
Positions (direct):
O: 0.7492 0.2508 0.1079
O: 0.4059 0.4328 0.8145
O: 0.2508 0.2508 0.3921
O: 0.7530 0.2954 0.2641
O: 0.5941 0.5672 0.1855
O: 0.4059 0.5672 0.3145
O: 0.7555 0.2437 0.3908
O: 0.9059 0.9328 0.6855
O: 0.2470 0.7046 0.7359
O: 0.2530 0.7954 0.2359
O: 0.5941 0.4328 0.6855
O: 0.2555 0.2563 0.6092
O: 0.7508 0.2492 0.6079
O: 0.2492 0.2492 0.8921
O: 0.7492 0.7492 0.6079
O: 0.9059 0.0672 0.1855
O: 0.2530 0.2046 0.7359
O: 0.7530 0.7046 0.7641
O: 0.2492 0.7508 0.3921
O: 0.7470 0.2046 0.7641
O: 0.7445 0.7437 0.3908
O: 0.2508 0.7492 0.8921
O: 0.2445 0.2437 0.1092
O: 0.7555 0.7563 0.8908
O: 0.0941 0.0672 0.3145
O: 0.7508 0.7508 0.1079
O: 0.7470 0.7954 0.2641
O: 0.7445 0.2563 0.8908
O: 0.2445 0.7563 0.6092
O: 0.2470 0.2954 0.2359
O: 0.0941 0.9328 0.8145
O: 0.2555 0.7437 0.1092
Bi: 0.0089 0.0099 0.5717
Bi: 0.9782 0.5544 0.6588
Bi: 0.4782 0.9456 0.3412
Bi: 0.4911 0.4901 0.0717
Bi: 0.9911 0.9901 0.4283
Bi: 0.0089 0.9901 0.0717
Bi: 0.4911 0.5099 0.5717
Bi: 0.5218 0.0544 0.6588
Bi: 0.9782 0.4456 0.1588
Bi: 0.5218 0.9456 0.1588
Bi: 0.5089 0.5099 0.9283
Bi: 0.5089 0.4901 0.4283
Bi: 0.4782 0.0544 0.8412
Bi: 0.9911 0.0099 0.9283
Bi: 0.0218 0.5544 0.8412
Bi: 0.0218 0.4456 0.3412
Ta: 0.5000 0.4825 0.7500
Ta: 0.5000 0.5175 0.2500
Ta: 0.0000 0.0175 0.2500
Ta: 0.0000 0.9825 0.7500
Br: 0.5000 0.0000 0.0000
Br: 0.0000 0.5000 0.5000
Br: 0.0000 0.5000 0.0000
Br: 0.5000 0.0000 0.5000

SG: Pbcn (60)

First-principles (r2SCAN) data for a geometry-optimized Pr5Bi3Br structure, as listed in the Materials Project.

Unit cell a=9.7004 b=9.7004 c=6.7809 alpha=90.00 beta=90.00 gamma=120.00
Positions (direct):
Pr: 0.7263 0.0000 0.2500
Pr: 0.3333 0.6667 0.5000
Pr: 0.3333 0.6667 0.0000
Pr: 0.6667 0.3333 0.5000
Pr: 0.6667 0.3333 0.0000
Pr: 0.0000 0.7263 0.2500
Pr: 0.7263 0.7263 0.7500
Pr: 0.2737 0.2737 0.2500
Pr: 0.2737 0.0000 0.7500
Pr: 0.0000 0.2737 0.7500
Bi: 0.0000 0.3842 0.2500
Bi: 0.3842 0.0000 0.2500
Bi: 0.3842 0.3842 0.7500
Bi: 0.0000 0.6158 0.7500
Bi: 0.6158 0.6158 0.2500
Bi: 0.6158 0.0000 0.7500
Br: 0.0000 0.0000 0.5000
Br: 0.0000 0.0000 0.0000

SG: P6_3/mcm (193)

First-principles (r2SCAN) data for a geometry-optimized Bi2H18C3I9N9 structure, as listed in the Materials Project.

Unit cell a=9.0678 b=9.0678 c=21.0237 alpha=90.00 beta=90.00 gamma=108.31
Positions (direct):
N: 0.7177 0.5002 0.6017
N: 0.0468 0.1705 0.7500
N: 0.1974 0.8026 0.2500
N: 0.2823 0.4998 0.3983
N: 0.8026 0.1974 0.7500
N: 0.4998 0.2823 0.6017
N: 0.4998 0.2823 0.8983
N: 0.5002 0.7177 0.3983
N: 0.8295 0.9532 0.7500
N: 0.7336 0.2664 0.5650
N: 0.7177 0.5002 0.8983
N: 0.5002 0.7177 0.1017
N: 0.2664 0.7336 0.0650
N: 0.2664 0.7336 0.4350
N: 0.2823 0.4998 0.1017
N: 0.7336 0.2664 0.9350
N: 0.1705 0.0468 0.2500
N: 0.9532 0.8295 0.2500
H: 0.6529 0.5694 0.8874
H: 0.8491 0.3144 0.9424
H: 0.1734 0.4455 0.0861
H: 0.4306 0.3471 0.6126
H: 0.8498 0.3146 0.7500
H: 0.1734 0.4455 0.4139
H: 0.5545 0.8266 0.0861
H: 0.6856 0.1509 0.5576
H: 0.7130 0.9038 0.7500
H: 0.3144 0.8491 0.0576
H: 0.5694 0.6529 0.3874
H: 0.8952 0.8814 0.7500
H: 0.5545 0.8266 0.4139
H: 0.1048 0.1186 0.2500
H: 0.8814 0.8952 0.2500
H: 0.1509 0.6856 0.4424
H: 0.4455 0.1734 0.9139
H: 0.1502 0.6854 0.2500
H: 0.4306 0.3471 0.8874
H: 0.3146 0.8498 0.2500
H: 0.8266 0.5545 0.5861
H: 0.2870 0.0962 0.2500
H: 0.0962 0.2870 0.7500
H: 0.4455 0.1734 0.5861
H: 0.1186 0.1048 0.7500
H: 0.5694 0.6529 0.1126
H: 0.9038 0.7130 0.2500
H: 0.6854 0.1502 0.7500
H: 0.8266 0.5545 0.9139
H: 0.8491 0.3144 0.5576
H: 0.6529 0.5694 0.6126
H: 0.3471 0.4306 0.3874
H: 0.6856 0.1509 0.9424
H: 0.3471 0.4306 0.1126
H: 0.3144 0.8491 0.4424
H: 0.1509 0.6856 0.0576
C: 0.6500 0.3500 0.9113
C: 0.3500 0.6500 0.4113
C: 0.1069 0.8931 0.2500
C: 0.8931 0.1069 0.7500
C: 0.3500 0.6500 0.0887
C: 0.6500 0.3500 0.5887
I: 0.1604 0.4308 0.9239
I: 0.1007 0.8993 0.5752
I: 0.8396 0.5692 0.4239
I: 0.0122 0.3819 0.2500
I: 0.4308 0.1604 0.4239
I: 0.1604 0.4308 0.5761
I: 0.1007 0.8993 0.9248
I: 0.6181 0.9878 0.2500
I: 0.4428 0.5572 0.7500
I: 0.3819 0.0122 0.7500
I: 0.5572 0.4428 0.2500
I: 0.8396 0.5692 0.0761
I: 0.9878 0.6181 0.7500
I: 0.4308 0.1604 0.0761
I: 0.8993 0.1007 0.4248
I: 0.5692 0.8396 0.5761
I: 0.8993 0.1007 0.0752
I: 0.5692 0.8396 0.9239
Bi: 0.7279 0.2721 0.1488
Bi: 0.2721 0.7279 0.8512
Bi: 0.2721 0.7279 0.6488
Bi: 0.7279 0.2721 0.3512

SG: Cmcm (63)

First-principles (r2SCAN) data for a geometry-optimized Na2BiPCO7 structure, as listed in the Materials Project.

Unit cell a=6.8949 b=5.2462 c=9.3407 alpha=88.78 beta=90.00 gamma=90.00
Positions (direct):
O: 0.2500 0.0320 0.1671
O: 0.7500 0.9680 0.8329
O: 0.2500 0.2657 0.9621
O: 0.4285 0.8719 0.6617
O: 0.2500 0.4524 0.1773
O: 0.7500 0.7343 0.0379
O: 0.0715 0.8719 0.6617
O: 0.7500 0.5476 0.8227
O: 0.2500 0.4485 0.6436
O: 0.9285 0.1281 0.3383
O: 0.2500 0.7605 0.4363
O: 0.5715 0.1281 0.3383
O: 0.7500 0.2395 0.5637
O: 0.7500 0.5515 0.3564
Na: 0.9878 0.7503 0.2085
Na: 0.0122 0.2497 0.7915
Na: 0.4878 0.2497 0.7915
Na: 0.5122 0.7503 0.2085
P: 0.2500 0.7304 0.6038
P: 0.7500 0.2696 0.3962
Bi: 0.7500 0.7959 0.6108
Bi: 0.2500 0.2041 0.3892
C: 0.2500 0.2514 0.0954
C: 0.7500 0.7486 0.9046

SG: P2_1/m (11)

First-principles (r2SCAN) data for a geometry-optimized CaBi3 structure, as listed in the Materials Project.

Unit cell a=4.9721 b=4.9721 c=4.9721 alpha=90.04 beta=90.04 gamma=90.04
Positions (direct):
Bi: 0.0000 0.5000 0.5000
Bi: 0.5000 0.0000 0.5000
Bi: 0.5000 0.5000 0.0000
Ca: 0.0000 0.0000 0.0000

SG: Pm-3m (221)

Number 1: electronic total energy -0.91059 hartree per atom. Number 2: electronic total energy -0.90432 hartree per atom. Number 3: electronic total energy -1.14041 hartree per atom. Number 4: electronic total energy -0.99896 hartree per atom. Number 5: electronic total energy -1.01866 hartree per atom. Number 6: electronic total energy -0.96897 hartree per atom. Number 7: electronic total energy -1.41479 hartree per atom. Number 8: electronic total energy -0.47387 hartree per atom. Number 9: electronic total energy -0.46074 hartree per atom. Number 10: electronic total energy -1.69121 hartree per atom.